[1]
This record from the Materials Project database describes a relaxed Li3MnVP4O14 crystal. The functional is GGA+U.

a = 7.237 Å, b = 9.796 Å, c = 9.769 Å
α = 62.11°, β = 101.85°, γ = 79.44°
Fractional coordinates of all 46 atoms:
Li: 0.338 0.167 0.684
Li: 0.339 0.667 0.185
Li: 0.905 0.492 0.670
Li: 0.904 0.991 0.170
Li: 0.657 0.441 0.917
Li: 0.657 0.941 0.416
Mn: 0.730 0.225 0.758
Mn: 0.730 0.726 0.258
V: 0.276 0.007 0.498
V: 0.275 0.507 0.998
P: 0.476 0.659 0.527
P: 0.475 0.159 0.026
P: 0.920 0.819 0.962
P: 0.919 0.319 0.462
P: 0.088 0.709 0.588
P: 0.088 0.208 0.088
P: 0.522 0.776 0.903
P: 0.522 0.276 0.403
O: 0.122 0.070 0.265
O: 0.121 0.571 0.764
O: 0.117 0.204 0.491
O: 0.118 0.703 0.991
O: 0.496 0.669 0.371
O: 0.494 0.170 0.870
O: 0.480 0.819 0.522
O: 0.479 0.318 0.023
O: 0.416 0.936 0.735
O: 0.415 0.436 0.235
O: 0.094 0.871 0.569
O: 0.093 0.371 0.068
O: 0.256 0.643 0.527
O: 0.256 0.143 0.027
O: 0.758 0.733 0.927
O: 0.758 0.233 0.428
O: 0.926 0.818 0.122
O: 0.926 0.318 0.622
O: 0.631 0.510 0.685
O: 0.630 0.010 0.184
O: 0.490 0.793 0.044
O: 0.490 0.293 0.545
O: 0.475 0.627 0.907
O: 0.475 0.127 0.407
O: 0.889 0.222 0.981
O: 0.890 0.724 0.479
O: 0.862 0.489 0.315
O: 0.863 0.989 0.815

Results
* mass density: 2.8 Mg/m³
* largest piezoelectric modulus: 0.5 C/m²
* space-group type: P1, No. 1
* energy: -0.2620 hartree per atom

[2]
This record from the Materials Project database describes a relaxed Li3MnVP3O12 crystal. The functional is GGA+U.

a = 8.685 Å, b = 8.685 Å, c = 8.791 Å
α = 61.15°, β = 61.15°, γ = 59.60°
Fractional coordinates of all 40 atoms:
Li: 0.890 0.739 0.707
Li: 0.348 0.036 0.677
Li: 0.739 0.890 0.207
Li: 0.362 0.624 0.746
Li: 0.624 0.362 0.246
Li: 0.036 0.348 0.177
Mn: 0.852 0.359 0.856
Mn: 0.359 0.852 0.356
V: 0.643 0.152 0.641
V: 0.152 0.643 0.141
P: 0.531 0.749 0.954
P: 0.749 0.531 0.454
P: 0.954 0.043 0.258
P: 0.250 0.474 0.539
P: 0.043 0.954 0.758
P: 0.474 0.250 0.039
O: 0.731 0.592 0.913
O: 0.379 0.713 0.943
O: 0.748 0.490 0.642
O: 0.713 0.379 0.443
O: 0.550 0.931 0.794
O: 0.927 0.240 0.110
O: 0.931 0.550 0.294
O: 0.006 0.121 0.809
O: 0.889 0.985 0.695
O: 0.592 0.731 0.413
O: 0.240 0.927 0.610
O: 0.521 0.262 0.842
O: 0.490 0.748 0.142
O: 0.770 0.053 0.423
O: 0.398 0.272 0.585
O: 0.121 0.006 0.309
O: 0.985 0.889 0.195
O: 0.054 0.481 0.680
O: 0.053 0.770 0.923
O: 0.481 0.054 0.180
O: 0.295 0.619 0.551
O: 0.262 0.521 0.342
O: 0.619 0.295 0.051
O: 0.272 0.398 0.085

Results
* excess energy over the best structure of this formula in the dataset: 38 meV per atom
* mass density: 2.9 Mg/m³
* space-group type: Cc, No. 9
* energy: -0.2578 hartree per atom

[3]
This record from the Materials Project database describes a relaxed LiMnVP4O14 crystal. The functional is GGA+U.

a = 7.041 Å, b = 8.187 Å, c = 9.697 Å
α = 89.19°, β = 71.49°, γ = 88.01°
Fractional coordinates of all 42 atoms:
Li: 0.329 0.863 0.585
Li: 0.671 0.358 0.913
Mn: 0.734 0.007 0.391
Mn: 0.722 0.993 0.896
V: 0.275 0.506 0.109
V: 0.281 0.496 0.601
P: 0.482 0.176 0.200
P: 0.910 0.780 0.110
P: 0.087 0.287 0.392
P: 0.515 0.679 0.302
P: 0.477 0.178 0.703
P: 0.908 0.781 0.610
P: 0.091 0.291 0.894
P: 0.516 0.682 0.799
O: 0.161 0.341 0.022
O: 0.105 0.678 0.069
O: 0.530 0.039 0.088
O: 0.486 0.345 0.125
O: 0.394 0.661 0.195
O: 0.094 0.440 0.295
O: 0.253 0.153 0.300
O: 0.746 0.653 0.204
O: 0.910 0.932 0.200
O: 0.610 0.175 0.302
O: 0.488 0.844 0.376
O: 0.473 0.536 0.411
O: 0.156 0.339 0.522
O: 0.112 0.688 0.571
O: 0.894 0.200 0.442
O: 0.855 0.827 0.472
O: 0.518 0.039 0.592
O: 0.482 0.348 0.633
O: 0.393 0.669 0.693
O: 0.099 0.441 0.793
O: 0.248 0.151 0.804
O: 0.750 0.649 0.701
O: 0.908 0.931 0.704
O: 0.610 0.176 0.802
O: 0.495 0.848 0.866
O: 0.481 0.537 0.908
O: 0.889 0.215 0.938
O: 0.861 0.822 0.970

Results
* excess energy over the best structure of this formula in the dataset: 3 meV per atom
* mass density: 2.9 Mg/m³
* space-group type: P1, No. 1
* energy: -0.2669 hartree per atom

[4]
This record from the Materials Project database describes a relaxed Li6MnV3P6O24 crystal. The functional is GGA+U.

a = 8.626 Å, b = 8.626 Å, c = 12.745 Å
α = 74.02°, β = 74.02°, γ = 94.32°
Fractional coordinates of all 80 atoms:
Li: 0.994 0.006 0.748
Li: 0.994 0.006 0.252
Li: 0.714 0.286 0.500
Li: 0.500 0.502 0.624
Li: 0.712 0.288 0.000
Li: 0.498 0.500 0.376
Li: 0.289 0.714 0.748
Li: 0.500 0.500 0.125
Li: 0.500 0.500 0.875
Li: 0.286 0.711 0.252
Li: 0.006 0.994 0.500
Li: 0.007 0.993 0.000
Mn: 0.625 0.942 0.442
Mn: 0.058 0.375 0.558
V: 0.943 0.622 0.695
V: 0.943 0.620 0.196
V: 0.380 0.057 0.804
V: 0.620 0.943 0.945
V: 0.378 0.057 0.305
V: 0.057 0.380 0.055
P: 0.715 0.287 0.750
P: 0.865 0.663 0.443
P: 0.661 0.863 0.693
P: 0.713 0.285 0.250
P: 0.862 0.661 0.943
P: 0.661 0.862 0.193
P: 0.337 0.135 0.557
P: 0.138 0.339 0.807
P: 0.285 0.715 0.500
P: 0.339 0.138 0.057
P: 0.137 0.339 0.307
P: 0.285 0.715 0.000
O: 0.988 0.660 0.830
O: 0.947 0.607 0.539
O: 0.743 0.171 0.858
O: 0.990 0.655 0.330
O: 0.830 0.262 0.639
O: 0.843 0.842 0.680
O: 0.737 0.462 0.760
O: 0.853 0.849 0.423
O: 0.950 0.602 0.038
O: 0.738 0.170 0.361
O: 0.829 0.257 0.142
O: 0.844 0.842 0.180
O: 0.706 0.548 0.476
O: 0.600 0.950 0.788
O: 0.663 0.988 0.577
O: 0.540 0.263 0.741
O: 0.737 0.460 0.259
O: 0.543 0.704 0.727
O: 0.842 0.845 0.929
O: 0.704 0.544 0.977
O: 0.599 0.950 0.288
O: 0.452 0.294 0.524
O: 0.660 0.988 0.079
O: 0.538 0.263 0.240
O: 0.462 0.738 0.509
O: 0.345 0.010 0.670
O: 0.544 0.703 0.227
O: 0.393 0.053 0.461
O: 0.297 0.456 0.773
O: 0.158 0.156 0.820
O: 0.456 0.296 0.023
O: 0.262 0.538 0.491
O: 0.462 0.737 0.009
O: 0.340 0.012 0.170
O: 0.398 0.050 0.962
O: 0.296 0.457 0.273
O: 0.151 0.147 0.577
O: 0.172 0.743 0.609
O: 0.257 0.828 0.391
O: 0.050 0.401 0.712
O: 0.158 0.157 0.320
O: 0.263 0.538 0.991
O: 0.155 0.158 0.071
O: 0.171 0.742 0.109
O: 0.012 0.337 0.423
O: 0.258 0.829 0.891
O: 0.050 0.400 0.212
O: 0.012 0.340 0.921

Results
* excess energy over the best structure of this formula in the dataset: 38 meV per atom
* mass density: 3.1 Mg/m³
* space-group type: C2, No. 5
* energy: -0.2589 hartree per atom

[5]
This record from the Materials Project database describes a relaxed Li3MnVP3O12 crystal. The functional is GGA+U.

a = 9.232 Å, b = 8.418 Å, c = 8.443 Å
α = 60.06°, β = 63.05°, γ = 90.15°
Fractional coordinates of all 40 atoms:
Li: 0.135 0.740 0.194
Li: 0.148 0.338 0.926
Li: 0.384 0.186 0.362
Li: 0.857 0.669 0.072
Li: 0.876 0.935 0.388
Li: 0.873 0.254 0.803
Mn: 0.563 0.852 0.295
Mn: 0.440 0.145 0.709
V: 0.034 0.343 0.317
V: 0.967 0.653 0.692
P: 0.247 0.055 0.212
P: 0.249 0.456 0.492
P: 0.242 0.739 0.808
P: 0.761 0.257 0.191
P: 0.757 0.545 0.505
P: 0.752 0.949 0.783
O: 0.107 0.850 0.366
O: 0.256 0.142 0.997
O: 0.182 0.181 0.303
O: 0.170 0.490 0.349
O: 0.101 0.454 0.692
O: 0.100 0.766 0.743
O: 0.411 0.040 0.210
O: 0.272 0.256 0.580
O: 0.408 0.618 0.366
O: 0.172 0.520 0.001
O: 0.236 0.863 0.893
O: 0.408 0.782 0.618
O: 0.588 0.214 0.378
O: 0.758 0.137 0.104
O: 0.824 0.477 0.010
O: 0.594 0.389 0.634
O: 0.748 0.751 0.395
O: 0.584 0.964 0.802
O: 0.900 0.212 0.257
O: 0.901 0.536 0.314
O: 0.833 0.517 0.651
O: 0.832 0.837 0.678
O: 0.755 0.869 0.988
O: 0.884 0.166 0.617

Results
* excess energy over the best structure of this formula in the dataset: 21 meV per atom
* mass density: 2.8 Mg/m³
* space-group type: P1, No. 1
* energy: -0.2585 hartree per atom

[6]
This record from the Materials Project database describes a relaxed Li3MnVP3O12 crystal. The functional is GGA+U.

a = 9.756 Å, b = 9.851 Å, c = 9.873 Å
α = 84.67°, β = 86.43°, γ = 87.48°
Fractional coordinates of all 80 atoms:
Li: 0.242 0.512 0.986
Li: 0.385 0.259 0.005
Li: 0.473 0.562 0.775
Li: 0.178 0.734 0.773
Li: 0.604 0.989 0.747
Li: 0.811 0.746 0.626
Li: 0.752 0.012 0.495
Li: 0.530 0.226 0.441
Li: 0.979 0.925 0.303
Li: 0.818 0.232 0.268
Li: 0.194 0.382 0.249
Li: 0.023 0.693 0.076
Mn: 0.218 0.027 0.740
Mn: 0.506 0.531 0.465
Mn: 0.499 0.758 0.247
Mn: 0.722 0.737 0.029
V: 0.785 0.249 0.972
V: 0.001 0.247 0.753
V: 0.002 0.464 0.531
V: 0.282 0.966 0.254
P: 0.405 0.825 0.948
P: 0.900 0.946 0.826
P: 0.930 0.551 0.838
P: 0.304 0.342 0.679
P: 0.697 0.319 0.663
P: 0.426 0.832 0.556
P: 0.071 0.153 0.450
P: 0.803 0.680 0.348
P: 0.200 0.654 0.313
P: 0.576 0.445 0.159
P: 0.592 0.054 0.185
P: 0.095 0.177 0.056
O: 0.857 0.870 0.967
O: 0.563 0.824 0.918
O: 0.792 0.614 0.886
O: 0.345 0.963 0.882
O: 0.340 0.698 0.904
O: 0.925 0.390 0.874
O: 0.055 0.602 0.904
O: 0.121 0.169 0.898
O: 0.874 0.104 0.839
O: 0.669 0.305 0.821
O: 0.056 0.908 0.803
O: 0.349 0.407 0.802
O: 0.812 0.913 0.711
O: 0.944 0.587 0.680
O: 0.333 0.184 0.691
O: 0.142 0.376 0.671
O: 0.287 0.866 0.632
O: 0.550 0.902 0.598
O: 0.861 0.323 0.624
O: 0.633 0.459 0.615
O: 0.444 0.671 0.586
O: 0.647 0.196 0.598
O: 0.076 0.121 0.612
O: 0.373 0.392 0.538
O: 0.844 0.803 0.420
O: 0.141 0.591 0.451
O: 0.862 0.543 0.410
O: 0.412 0.873 0.399
O: 0.640 0.670 0.372
O: 0.940 0.097 0.403
O: 0.072 0.311 0.411
O: 0.204 0.086 0.391
O: 0.362 0.631 0.318
O: 0.156 0.809 0.296
O: 0.561 0.413 0.320
O: 0.651 0.109 0.309
O: 0.845 0.697 0.193
O: 0.624 0.895 0.187
O: 0.157 0.582 0.191
O: 0.433 0.088 0.181
O: 0.592 0.605 0.121
O: 0.373 0.832 0.109
O: 0.713 0.372 0.116
O: 0.940 0.207 0.096
O: 0.449 0.405 0.094
O: 0.132 0.036 0.130
O: 0.187 0.291 0.090
O: 0.658 0.112 0.048

Results
* excess energy over the best structure of this formula in the dataset: 52 meV per atom
* mass density: 2.9 Mg/m³
* space-group type: P1, No. 1
* energy: -0.2573 hartree per atom